## LiMnF3 (PBE+U)

Data for a relaxed structure of LiMnF3.

## Properties
- relative energy among the computed polymorphs (kJ per mole of atoms) = 1.3
- density (g/cm3) = 3.21
- total moment (μB per atom) = 1.000

```
LiMnF3
1.0
3.2581 0.0000 0.0000
0.0000 4.9166 0.0000
0.0000 0.0000 7.6730
Li Mn F
2 2 6
direct
0.5000 0.0328 0.7500
0.5000 0.9672 0.2500
0.0000 0.5000 0.0000
0.0000 0.5000 0.5000
0.5000 0.2492 0.4253
0.5000 0.2492 0.0747
0.0000 0.2644 0.7500
0.0000 0.7356 0.2500
0.5000 0.7508 0.9253
0.5000 0.7508 0.5747
```

=====

## Li2MnF6 (PBE+U)

Data for a relaxed structure of Li2MnF6.

## Properties
- relative energy among the computed polymorphs (kJ per mole of atoms) = 3.4
- density (g/cm3) = 3.05
- total moment (μB per atom) = 0.333

```
Li2MnF6
1.0
5.2213 0.0000 0.0000
0.0000 5.0828 0.0000
0.0000 5.0894 7.5106
Li Mn F
4 2 12
direct
0.2619 0.5051 0.5000
0.2058 0.7438 0.7582
0.7381 0.5051 0.0000
0.7942 0.7438 0.2582
0.2496 0.0016 0.9999
0.7504 0.0016 0.4999
0.3027 0.1045 0.7701
0.5567 0.7780 0.0726
0.5803 0.3696 0.4414
0.0692 0.6530 0.0462
0.0437 0.2391 0.4321
0.8201 0.8729 0.7302
0.6973 0.1045 0.2701
0.4433 0.7780 0.5726
0.4197 0.3696 0.9414
0.9308 0.6530 0.5462
0.9563 0.2391 0.9321
0.1799 0.8729 0.2302
```

=====

## LiMnF3 (PBE+U)

Data for a relaxed structure of LiMnF3.

## Properties
- relative energy among the computed polymorphs (kJ per mole of atoms) = 7.8
- density (g/cm3) = 3.38
- total moment (μB per atom) = 1.000

```
LiMnF3
1.0
-2.1817 4.2075 2.0826
1.2518 -2.4306 -4.3961
-6.8481 -3.5601 0.0183
Li Mn F
2 2 6
direct
0.7385 0.2615 0.2500
0.2615 0.7385 0.7500
0.0000 0.0000 0.0000
0.0000 0.0000 0.5000
0.8941 0.1059 0.7500
0.6355 0.3645 0.5762
0.6355 0.3645 0.9238
0.3645 0.6355 0.4238
0.3645 0.6355 0.0762
0.1059 0.8941 0.2500
```

=====

## LiMnF3 (PBE+U)

Data for a relaxed structure of LiMnF3.

## Properties
- relative energy among the computed polymorphs (kJ per mole of atoms) = 4.3
- density (g/cm3) = 3.16
- total moment (μB per atom) = 0.000

```
LiMnF3
1.0
-4.2878 0.2123 -3.2970
-0.6217 -1.5360 5.1531
-1.5428 9.3834 2.6108
Li Mn F
4 4 12
direct
0.3333 0.6667 0.9328
0.3333 0.6667 0.5672
0.6667 0.3333 0.0672
0.6667 0.3333 0.4328
0.0000 0.0000 0.7500
0.0000 0.0000 0.2500
0.3333 0.6667 0.2500
0.6667 0.3333 0.7500
0.0072 0.6678 0.3699
0.3322 0.9928 0.1301
0.0072 0.3395 0.1301
0.3322 0.3395 0.3699
0.6605 0.9928 0.3699
0.3395 0.3322 0.8699
0.6605 0.6678 0.1301
0.3395 0.0072 0.6301
0.6678 0.6605 0.6301
0.9928 0.6605 0.8699
0.6678 0.0072 0.8699
0.9928 0.3322 0.6301
```

=====

## LiMnF5 (PBE+U)

Data for a relaxed structure of LiMnF5.

## Properties
- relative energy among the computed polymorphs (kJ per mole of atoms) = 1.8
- density (g/cm3) = 2.76
- total moment (μB per atom) = 0.429

```
LiMnF5
1.0
4.9842 0.0000 0.0000
0.0000 5.7870 0.0000
0.0000 0.0000 13.1067
Li Mn F
4 4 20
direct
0.9697 0.6340 0.6392
0.4697 0.8660 0.3608
0.5303 0.3660 0.1392
0.0303 0.1340 0.8608
0.3194 0.1281 0.5869
0.8194 0.3719 0.4131
0.1806 0.8719 0.0869
0.6806 0.6281 0.9131
0.1289 0.9232 0.6628
0.5956 0.1054 0.6708
0.1731 0.3644 0.6607
0.4442 0.8963 0.5053
0.5135 0.3529 0.5083
0.0135 0.1471 0.4917
0.9442 0.6037 0.4947
0.6731 0.1356 0.3393
0.0956 0.3946 0.3292
0.6289 0.5768 0.3372
0.3711 0.0768 0.1628
0.9044 0.8946 0.1708
0.3269 0.6356 0.1607
0.0558 0.1037 0.0053
0.9865 0.6471 0.0083
0.4865 0.8529 0.9917
0.5558 0.3963 0.9947
0.8269 0.8644 0.8393
0.4044 0.6054 0.8292
0.8711 0.4232 0.8372
```

=====

## LiMn2F7 (PBE+U)

Data for a relaxed structure of LiMn2F7.

## Properties
- relative energy among the computed polymorphs (kJ per mole of atoms) = 4.9
- density (g/cm3) = 2.82
- total moment (μB per atom) = 0.800

```
LiMn2F7
1.0
-5.6134 0.0000 0.0000
-0.4157 -6.7299 0.0000
1.6089 2.7210 7.7773
Li Mn F
2 4 14
direct
0.1284 0.0197 0.7544
0.8716 0.9803 0.2456
0.7195 0.7182 0.8185
0.2065 0.4777 0.6718
0.7935 0.5223 0.3282
0.2805 0.2818 0.1815
0.3322 0.1763 0.9602
0.0696 0.5871 0.8700
0.8419 0.9649 0.8220
0.5661 0.4561 0.7765
0.1033 0.2094 0.6273
0.3157 0.7512 0.6969
0.7979 0.5926 0.5780
0.2021 0.4074 0.4220
0.6843 0.2488 0.3031
0.8967 0.7906 0.3727
0.4339 0.5439 0.2235
0.1581 0.0351 0.1780
0.9304 0.4129 0.1300
0.6678 0.8237 0.0398
```

=====

## LiMnF3 (PBE+U)

Data for a relaxed structure of LiMnF3.

## Properties
- relative energy among the computed polymorphs (kJ per mole of atoms) = 4.8
- density (g/cm3) = 2.99
- total moment (μB per atom) = 1.000

```
LiMnF3
1.0
-1.4441 -6.2121 2.9004
6.8905 0.5206 4.0293
-7.7761 9.3514 11.3555
Li Mn F
14 14 42
direct
0.7811 0.1626 0.0320
0.8816 0.7817 0.7556
0.7459 0.7109 0.5673
0.6762 0.5500 0.3087
0.5680 0.4643 0.1195
0.6776 0.0792 0.8373
0.5080 0.1579 0.5991
0.4920 0.8421 0.4009
0.3224 0.9208 0.1627
0.4320 0.5357 0.8805
0.3238 0.4500 0.6913
0.2541 0.2891 0.4327
0.1184 0.2183 0.2444
0.2189 0.8374 0.9680
0.9456 0.9570 0.3916
0.8285 0.8606 0.1863
0.9516 0.4565 0.9007
0.7640 0.2996 0.4878
0.8342 0.3807 0.6937
0.5738 0.1825 0.2835
0.7018 0.8121 0.9596
0.2982 0.1879 0.0404
0.4262 0.8175 0.7165
0.1658 0.6193 0.3063
0.2360 0.7004 0.5122
0.0484 0.5435 0.0993
0.1715 0.1394 0.8137
0.0544 0.0430 0.6084
0.9878 0.3198 0.0185
0.9254 0.0662 0.2745
0.9626 0.8344 0.5203
0.8453 0.9459 0.0716
0.8783 0.7265 0.3115
0.9407 0.5613 0.7795
0.7718 0.6281 0.1196
0.8446 0.4894 0.5758
0.8700 0.2340 0.8075
0.7498 0.3599 0.3704
0.7850 0.1459 0.5982
0.5838 0.2528 0.0767
0.5787 0.4029 0.2260
0.6864 0.7898 0.6678
0.7587 0.8556 0.8386
0.6654 0.0250 0.3966
0.6401 0.0702 0.9421
0.5681 0.9462 0.2238
0.6861 0.5197 0.9262
0.5232 0.7265 0.4979
0.4563 0.6603 0.3275
0.5437 0.3397 0.6725
0.4768 0.2735 0.5021
0.3139 0.4803 0.0738
0.4319 0.0538 0.7762
0.3599 0.9298 0.0579
0.3346 0.9750 0.6034
0.2413 0.1444 0.1614
0.3136 0.2102 0.3322
0.4213 0.5971 0.7740
0.4162 0.7472 0.9233
0.2150 0.8541 0.4018
0.2502 0.6401 0.6296
0.1300 0.7660 0.1925
0.1554 0.5106 0.4242
0.2282 0.3719 0.8804
0.0593 0.4387 0.2205
0.1217 0.2735 0.6885
0.1547 0.0541 0.9284
0.0374 0.1656 0.4797
0.0746 0.9338 0.7255
0.0122 0.6802 0.9815
```

=====

## LiMnF3 (PBE+U)

Data for a relaxed structure of LiMnF3.

## Properties
- relative energy among the computed polymorphs (kJ per mole of atoms) = 3.1
- density (g/cm3) = 3.29
- total moment (μB per atom) = 1.000

```
LiMnF3
1.0
-3.1539 -1.8987 -11.5721
2.5888 -3.5305 -11.3270
-1.6726 -7.3202 -9.5438
Li Mn F
6 6 18
direct
0.5640 0.9360 0.2500
0.2500 0.5640 0.9360
0.0640 0.7500 0.4360
0.9360 0.2500 0.5640
0.7500 0.4360 0.0640
0.4360 0.0640 0.7500
0.5000 0.5000 0.5000
0.1558 0.1558 0.1558
0.3442 0.3442 0.3442
0.6558 0.6558 0.6558
0.8442 0.8442 0.8442
0.0000 0.0000 0.0000
0.5002 0.8661 0.2089
0.6339 0.9998 0.2911
0.5916 0.5916 0.5916
0.0002 0.7089 0.3661
0.1339 0.7911 0.4998
0.2089 0.5002 0.8661
0.2500 0.2500 0.2500
0.2911 0.6339 0.9998
0.0916 0.0916 0.0916
0.9084 0.9084 0.9084
0.7089 0.3661 0.0002
0.7500 0.7500 0.7500
0.7911 0.4998 0.1339
0.8661 0.2089 0.5002
0.9998 0.2911 0.6339
0.4084 0.4084 0.4084
0.3661 0.0002 0.7089
0.4998 0.1339 0.7911
```

=====

Q: Which of these has the lowest relative energy among the computed polymorphs?
A: number 1

=====

Q: Which value of relative energy among the computed polymorphs does entry 6 give?
A: 4.9 kJ per mole of atoms